## AlW3C4 (PBE)

Data for a relaxed AlW3C4 crystal.

a b c (Å): 2.832 2.947 10.138
angles (deg): 90.00 90.00 90.00
Space group Pmm2 (No. 25)
Asymmetric unit:
Al: 0.000 0.000 0.000 (multiplicity 1)
W: 0.000 0.000 0.512 (multiplicity 1)
W: 0.000 0.500 0.263 (multiplicity 1)
W: 0.000 0.500 0.763 (multiplicity 1)
C: 0.500 0.000 0.187 (multiplicity 1)
C: 0.500 0.000 0.679 (multiplicity 1)
C: 0.500 0.500 0.429 (multiplicity 1)
C: 0.500 0.500 0.923 (multiplicity 1)

***

## Na2Cd3P4O14 (PBE)

Data for a relaxed Na2Cd3P4O14 crystal.

Properties
* corrected total energy (MP2020 scheme): -6.618 eV per atom

a b c (Å): 5.748 7.154 7.981
angles (deg): 77.10 82.51 68.23
Space group P-1 (No. 2)
Asymmetric unit:
Na: 0.091 0.008 0.183 (multiplicity 2)
Cd: 0.311 0.466 0.193 (multiplicity 2)
Cd: 0.500 0.000 0.500 (multiplicity 1)
P: 0.153 0.673 0.577 (multiplicity 2)
P: 0.301 0.268 0.832 (multiplicity 2)
O: 0.050 0.266 0.923 (multiplicity 2)
O: 0.126 0.240 0.355 (multiplicity 2)
O: 0.183 0.699 0.384 (multiplicity 2)
O: 0.245 0.430 0.649 (multiplicity 2)
O: 0.314 0.762 0.655 (multiplicity 2)
O: 0.442 0.345 0.937 (multiplicity 2)
O: 0.462 0.068 0.775 (multiplicity 2)

***

## Al8P8H22C14N4O33F2 (PBE)

Data for a relaxed Al8P8H22C14N4O33F2 crystal.

Properties
* corrected total energy (MP2020 scheme): -6.991 eV per atom

a b c (Å): 22.017 14.020 14.375
angles (deg): 90.00 98.76 90.00
Space group C2/c (No. 15)
Asymmetric unit:
Al: 0.084 0.100 0.009 (multiplicity 8)
Al: 0.160 0.108 0.697 (multiplicity 8)
Al: 0.162 0.204 0.409 (multiplicity 8)
Al: 0.245 0.108 0.059 (multiplicity 8)
P: 0.059 0.120 0.514 (multiplicity 8)
P: 0.158 0.114 0.205 (multiplicity 8)
P: 0.172 0.216 0.894 (multiplicity 8)
P: 0.238 0.389 0.438 (multiplicity 8)
H: 0.012 0.365 0.122 (multiplicity 8)
H: 0.029 0.289 0.882 (multiplicity 8)
H: 0.078 0.341 0.648 (multiplicity 8)
H: 0.093 0.430 0.402 (multiplicity 8)
H: 0.100 0.336 0.197 (multiplicity 8)
H: 0.109 0.402 0.902 (multiplicity 8)
H: 0.124 0.345 0.083 (multiplicity 8)
H: 0.162 0.403 0.610 (multiplicity 8)
H: 0.167 0.417 0.735 (multiplicity 8)
H: 0.177 0.365 0.188 (multiplicity 8)
H: 0.209 0.494 0.668 (multiplicity 8)
C: 0.006 0.442 0.123 (multiplicity 8)
C: 0.017 0.364 0.879 (multiplicity 8)
C: 0.042 0.394 0.637 (multiplicity 8)
C: 0.053 0.477 0.391 (multiplicity 8)
C: 0.057 0.493 0.638 (multiplicity 8)
C: 0.130 0.375 0.155 (multiplicity 8)
C: 0.166 0.455 0.667 (multiplicity 8)
N: 0.065 0.428 0.893 (multiplicity 8)
N: 0.115 0.476 0.153 (multiplicity 8)
O: 0.000 0.087 0.250 (multiplicity 4)
O: 0.007 0.154 0.989 (multiplicity 8)
O: 0.061 0.018 0.475 (multiplicity 8)
O: 0.092 0.126 0.618 (multiplicity 8)
O: 0.093 0.189 0.455 (multiplicity 8)
O: 0.099 0.127 0.133 (multiplicity 8)
O: 0.113 0.188 0.935 (multiplicity 8)
O: 0.152 0.179 0.290 (multiplicity 8)
O: 0.162 0.191 0.788 (multiplicity 8)
O: 0.165 0.009 0.240 (multiplicity 8)
O: 0.179 0.327 0.424 (multiplicity 8)
O: 0.181 0.325 0.906 (multiplicity 8)
O: 0.216 0.145 0.165 (multiplicity 8)
O: 0.216 0.494 0.437 (multiplicity 8)
O: 0.224 0.136 0.466 (multiplicity 8)
O: 0.226 0.132 0.643 (multiplicity 8)
O: 0.229 0.164 0.945 (multiplicity 8)
F: 0.168 0.045 0.027 (multiplicity 8)

***

| no. | volume (Å³/cell) | formation energy from the elements (kJ/mol of atoms) |
| --- | --- | --- |
| 1 | 84.6 | 17.6 |
| 2 | 296.7 | -234.4 |
| 3 | 4385.6 | -168.2 |